# Gd4Sb3 | the Materials Project | meta-GGA r2SCAN | optimized geometry
data_Gd4Sb3
_cell_length_a 8.068
_cell_length_b 8.068
_cell_length_c 8.068
_cell_angle_alpha 109.47
_cell_angle_beta 109.47
_cell_angle_gamma 109.47
_space_group_name_H-M_alt 'P 1'
_space_group_IT_number 1
_space_group_name_Hall 'P 1'
loop_
_atom_site_label
_atom_site_fract_x
_atom_site_fract_y
_atom_site_fract_z
Gd1 0.147 0.147 0.147
Gd2 0.500 0.000 0.353
Gd3 0.500 0.000 0.853
Gd4 0.000 0.353 0.500
Sb1 0.875 0.125 0.750
Sb2 0.125 0.750 0.875
Sb3 0.375 0.250 0.625
Sb4 0.625 0.375 0.250
Sb5 0.250 0.625 0.375
Gd5 0.353 0.500 0.000
Sb6 0.750 0.875 0.125
Gd6 0.853 0.500 0.000
Gd7 0.647 0.647 0.647
Gd8 0.000 0.853 0.500
# relative energy among the computed polymorphs	0	meV per atom
# calculated formation energy	-1.22	eV per atom
# final energy	-37.0370	eV/atom